Record 1
VASP calculation (PBE-GGA) on RbHo2Cu3S5 after structural relaxation.

Geometry as POSCAR:
```
RbHo2Cu3S5
1.0
1.9715 -6.9639 0.0000
1.9715 6.9639 0.0000
0.0000 0.0000 16.4959
S Cu Ho Rb
10 6 4 2
Direct
0.3323 0.6677 0.4305
0.0614 0.9386 0.3869
0.6677 0.3323 0.9305
0.9386 0.0614 0.8869
0.3323 0.6677 0.0695
0.6677 0.3323 0.5695
0.7378 0.2622 0.2500
0.0614 0.9386 0.1131
0.2622 0.7378 0.7500
0.9386 0.0614 0.6131
0.9159 0.0841 0.0363
0.0841 0.9159 0.9637
0.8449 0.1551 0.7500
0.0841 0.9159 0.5363
0.1551 0.8449 0.2500
0.9159 0.0841 0.4637
0.3080 0.6920 0.5927
0.6920 0.3080 0.0927
0.6920 0.3080 0.4073
0.3080 0.6920 0.9073
0.5655 0.4345 0.7500
0.4345 0.5655 0.2500
```

Results
Total magnetization (μB/cell): 0.0
SG: No. 63

=====

Record 2
VASP calculation (PBE-GGA) on Ho2CuRh after structural relaxation.

Geometry as POSCAR:
```
Ho2CuRh
1.0
0.2978 -4.8466 0.2572
-3.7504 -2.5789 1.7111
-2.6302 -2.7610 -3.0171
Rh Ho Cu
1 2 1
Direct
0.0000 0.0000 0.0000
0.2500 0.2500 0.2500
0.7500 0.7500 0.7500
0.5000 0.5000 0.5000
```

Results
SG: No. 225

=====

Number 1: DFT formation energy -1.468 eV/atom. Number 2: DFT formation energy -0.583 eV/atom.